[1]
Entry from the Materials Project: a geometry-optimized LuZn12 structure (r2SCAN).

Cell: 5.046 6.692 6.692 Å, 81.83 67.85 67.85°
Sites, in units of the cell vectors:
Lu 0.000 0.000 0.000
Zn 0.000 0.000 0.500
Zn 0.500 0.000 0.500
Zn 0.500 0.500 0.000
Zn 0.000 0.500 0.000
Zn 0.000 0.354 0.646
Zn 0.000 0.646 0.354
Zn 0.646 0.354 0.354
Zn 0.354 0.646 0.646
Zn 0.500 0.785 0.215
Zn 0.500 0.215 0.785
Zn 0.715 0.785 0.785
Zn 0.285 0.215 0.215

Computed properties:
SG   I4/mmm

=====

[2]
Entry from the Materials Project: a geometry-optimized Pr2W2O9 structure (r2SCAN).

Cell: 9.946 7.698 9.299 Å, 72.65 90.00 90.00°
Sites, in units of the cell vectors:
Pr 0.052 0.228 0.347
Pr 0.552 0.772 0.153
Pr 0.948 0.772 0.653
Pr 0.448 0.228 0.847
Pr 0.454 0.281 0.426
Pr 0.954 0.719 0.074
Pr 0.546 0.719 0.574
Pr 0.046 0.281 0.926
W 0.751 0.072 0.262
W 0.251 0.928 0.238
W 0.249 0.928 0.738
W 0.749 0.072 0.762
W 0.773 0.425 0.465
W 0.273 0.575 0.035
W 0.227 0.575 0.535
W 0.727 0.425 0.965
O 0.780 0.902 0.161
O 0.280 0.098 0.339
O 0.220 0.098 0.839
O 0.720 0.902 0.661
O 0.590 0.956 0.342
O 0.090 0.044 0.158
O 0.410 0.044 0.658
O 0.910 0.956 0.842
O 0.878 0.989 0.404
O 0.378 0.011 0.096
O 0.122 0.011 0.596
O 0.622 0.989 0.904
O 0.623 0.229 0.078
O 0.123 0.771 0.422
O 0.377 0.771 0.922
O 0.877 0.229 0.578
O 0.810 0.260 0.860
O 0.310 0.740 0.640
O 0.190 0.740 0.140
O 0.690 0.260 0.360
O 0.597 0.507 0.825
O 0.097 0.493 0.675
O 0.403 0.493 0.175
O 0.903 0.507 0.325
O 0.790 0.588 0.573
O 0.290 0.412 0.927
O 0.210 0.412 0.427
O 0.710 0.588 0.073
O 0.606 0.553 0.393
O 0.106 0.447 0.107
O 0.394 0.447 0.607
O 0.894 0.553 0.893
O 0.635 0.262 0.640
O 0.135 0.738 0.860
O 0.365 0.738 0.360
O 0.865 0.262 0.140

Computed properties:
SG   P2_1/c

=====

Ordered mass density results: 8221 7756; unit kg/m³.
Ordered formation energy results: -0.176 -2.980; unit eV/atom.